Record 1
BaYI5 | GGA-PBE | relaxed

a b c (Å): 8.6207 8.6207 11.8919
angles (deg): 69.63 69.63 70.38
Last column: nearest neighbours and their distance in Å.
Fractional coordinates of all 14 atoms:
I  0.6832  0.2895  0.9705  1 Y 3.05
I  0.3168  0.7105  0.0295  1 Y 3.05
I  0.7876  0.7459  0.1217  1 Y 2.98
I  0.0792  0.9208  0.7500  2 Y 3.08
I  0.2895  0.6832  0.4705  1 Y 3.05
I  0.9208  0.0792  0.2500  2 Y 3.08
I  0.7459  0.7876  0.6217  1 Y 2.98
I  0.7105  0.3168  0.5295  1 Y 3.05
I  0.2541  0.2124  0.3783  1 Y 2.98
I  0.2124  0.2541  0.8783  1 Y 2.98
Ba  0.4413  0.5587  0.7500  7 I 3.42-3.68
Ba  0.5587  0.4413  0.2500  7 I 3.42-3.68
Y  0.0000  0.0000  0.5000  6 I 2.98-3.08
Y  0.0000  0.0000  0.0000  6 I 2.98-3.08

Values from the calculation:
M_tot   0.00 μB/cell
Calculated formation energy   -1.786 eV per atom
Space group   C2/c
E above lowest polymorph   6.0 kJ/mol of formula units


Record 2
Ba2YI7 | GGA-PBE | relaxed

a b c (Å): 15.1845 8.3470 14.8765
angles (deg): 78.64 90.00 90.00
Last column: nearest neighbours and their distance in Å.
Fractional coordinates of all 40 atoms:
Ba  0.0446  0.2288  0.2337  6 I 3.52-3.82
Ba  0.7947  0.7701  0.1438  7 I 3.49-3.69
Ba  0.8613  0.3336  0.7496  6 I 3.50-3.90
Ba  0.6293  0.2458  0.3584  8 I 3.50-3.80
Ba  0.2947  0.2299  0.8562  7 I 3.49-3.69
Ba  0.1293  0.7542  0.6416  8 I 3.50-3.80
Ba  0.3613  0.6664  0.2504  6 I 3.50-3.90
Ba  0.5446  0.7712  0.7663  6 I 3.52-3.82
I  0.6932  0.5979  0.6214  1 Y 3.07
I  0.0852  0.3836  0.7932  3 Ba 3.49-3.52
I  0.5852  0.6164  0.2068  3 Ba 3.49-3.52
I  0.0005  0.0513  0.4863  1 Y 3.03
I  0.5086  0.2016  0.7504  1 Y 3.09
I  0.9557  0.5353  0.5373  1 Y 3.05
I  0.8404  0.3853  0.2871  3 Ba 3.50-3.56
I  0.2055  0.5319  0.1060  1 Y 3.05
I  0.4557  0.4647  0.4627  1 Y 3.05
I  0.7572  0.8734  0.3665  1 Y 3.02
I  0.1602  0.8726  0.8651  1 Y 3.01
I  0.4158  0.2092  0.2536  1 Y 3.04
I  0.7399  0.1265  0.5908  1 Y 3.06
I  0.1932  0.4021  0.3786  1 Y 3.07
I  0.2572  0.1267  0.6335  1 Y 3.02
I  0.7055  0.4681  0.8940  1 Y 3.05
I  0.2134  0.0510  0.1052  1 Y 3.05
I  0.6602  0.1274  0.1349  1 Y 3.01
I  0.5005  0.9487  0.5137  1 Y 3.03
I  0.9475  0.5558  0.0297  1 Y 3.01
I  0.7134  0.9490  0.8948  1 Y 3.05
I  0.9383  0.0826  0.0067  1 Y 3.04
I  0.2399  0.8735  0.4092  1 Y 3.06
I  0.9158  0.7908  0.7464  1 Y 3.04
I  0.3404  0.6147  0.7129  3 Ba 3.50-3.56
I  0.0086  0.7984  0.2496  1 Y 3.09
I  0.4475  0.4442  0.9703  1 Y 3.01
I  0.4383  0.9174  0.9933  1 Y 3.04
Y  0.5775  0.1833  0.9476  6 I 3.01-3.09
Y  0.0775  0.8167  0.0524  6 I 3.01-3.09
Y  0.3443  0.1665  0.4481  6 I 3.02-3.07
Y  0.8443  0.8335  0.5519  6 I 3.02-3.07

Values from the calculation:
M_tot   0.12 μB/cell
Calculated formation energy   -1.887 eV per atom
Space group   P2_1
E above lowest polymorph   0.0 kJ/mol of formula units


Record 3
BaYI5 | GGA-PBE | relaxed

a b c (Å): 11.4372 11.4372 7.8106
angles (deg): 88.99 88.99 147.21
Last column: nearest neighbours and their distance in Å.
Fractional coordinates of all 14 atoms:
I  0.8157  0.1947  0.5027  1 Y 3.16
I  0.6304  0.3696  0.7500  2 Y 3.43
I  0.7244  0.7885  0.5966  2 Y 3.14-3.20
I  0.1947  0.8157  0.0027  1 Y 3.16
I  0.3696  0.6304  0.2500  2 Y 3.43
I  0.1843  0.8053  0.4973  1 Y 3.16
I  0.8053  0.1843  0.9973  1 Y 3.16
I  0.2756  0.2115  0.4034  2 Y 3.14-3.20
I  0.2115  0.2756  0.9034  2 Y 3.14-3.20
I  0.7885  0.7244  0.0966  2 Y 3.14-3.20
Ba  0.3278  0.6722  0.7500  10 I 3.62-4.01
Ba  0.6722  0.3278  0.2500  10 I 3.62-4.01
Y  0.0772  0.9228  0.7500  8 I 3.14-3.43
Y  0.9228  0.0772  0.2500  8 I 3.14-3.43

Values from the calculation:
M_tot   0.00 μB/cell
Calculated formation energy   -1.764 eV per atom
Space group   C2/c
E above lowest polymorph   20.9 kJ/mol of formula units


Record 4
Ba6YI15 | GGA-PBE | relaxed

a b c (Å): 12.0164 12.0164 34.3849
angles (deg): 89.97 89.97 91.90
Last column: nearest neighbours and their distance in Å.
Fractional coordinates of all 88 atoms:
I  0.1877  0.4794  0.8233  1 Y 3.24
I  0.7880  0.0695  0.8082  3 Ba 3.50-3.56
I  0.1697  0.5588  0.5788  3 Ba 3.49-3.52
I  0.2111  0.0026  0.6874  3 Ba 3.47-3.54
I  0.8222  0.8985  0.0542  1 Y 3.17, 2 Ba 3.47-3.48
I  0.8123  0.5206  0.1767  1 Y 3.24
I  0.2406  0.4693  0.4365  1 Y 3.20, 2 Ba 3.46-3.48
I  0.0428  0.2432  0.0566  3 Ba 3.43-3.55
I  0.7359  0.5064  0.0617  1 Y 2.99
I  0.4584  0.3193  0.8283  1 Y 3.20
I  0.7080  0.0134  0.6127  1 Y 3.19, 2 Ba 3.43-3.57
I  0.1548  0.5123  0.7025  3 Ba 3.48-3.54
I  0.2120  0.9305  0.1918  3 Ba 3.50-3.56
I  0.7841  0.9102  0.1716  1 Y 3.18, 1 Ba 3.55
I  0.8985  0.8222  0.5542  1 Y 3.17, 2 Ba 3.47-3.48
I  0.9305  0.2120  0.6918  3 Ba 3.50-3.56
I  0.7889  0.9974  0.3126  3 Ba 3.47-3.54
I  0.5416  0.6807  0.1717  1 Y 3.20
I  0.9102  0.7841  0.6716  1 Y 3.18, 1 Ba 3.55
I  0.5064  0.7359  0.5617  1 Y 2.99
I  0.7403  0.0388  0.9389  3 Ba 3.43-3.47
I  0.1015  0.1778  0.4458  1 Y 3.17, 2 Ba 3.47-3.48
I  0.2597  0.9612  0.0611  3 Ba 3.43-3.47
I  0.8452  0.4877  0.2975  3 Ba 3.48-3.54
I  0.5123  0.1548  0.2025  3 Ba 3.48-3.54
I  0.7080  0.5655  0.8012  3 Ba 3.41-3.62
I  0.4877  0.8452  0.7975  3 Ba 3.48-3.54
I  0.6807  0.5416  0.6717  1 Y 3.20
I  0.5206  0.8123  0.6767  1 Y 3.24
I  0.5655  0.7080  0.3012  3 Ba 3.41-3.62
I  0.2432  0.0428  0.5566  3 Ba 3.43-3.55
I  0.8303  0.4412  0.4212  3 Ba 3.49-3.52
I  0.0898  0.2159  0.3284  1 Y 3.18, 1 Ba 3.55
I  0.5307  0.7594  0.0635  1 Y 3.20, 2 Ba 3.46-3.48
I  0.2920  0.4345  0.1988  3 Ba 3.41-3.62
I  0.0026  0.2111  0.1874  3 Ba 3.47-3.54
I  0.7594  0.5307  0.5635  1 Y 3.20, 2 Ba 3.46-3.48
I  0.9974  0.7889  0.8126  3 Ba 3.47-3.54
I  0.5363  0.6658  0.4224  3 Ba 3.43-3.54
I  0.4936  0.2641  0.4383  1 Y 2.99
I  0.4637  0.3342  0.5776  3 Ba 3.43-3.54
I  0.5588  0.1697  0.0788  3 Ba 3.49-3.52
I  0.2159  0.0898  0.8284  1 Y 3.18, 1 Ba 3.55
I  0.2641  0.4936  0.9383  1 Y 2.99
I  0.9866  0.2920  0.8873  1 Y 3.19, 2 Ba 3.43-3.57
I  0.9572  0.7568  0.9434  3 Ba 3.43-3.55
I  0.4412  0.8303  0.9212  3 Ba 3.49-3.52
I  0.3193  0.4584  0.3283  1 Y 3.20
I  0.0695  0.7880  0.3082  3 Ba 3.50-3.56
I  0.9612  0.2597  0.5611  3 Ba 3.43-3.47
I  0.4794  0.1877  0.3233  1 Y 3.24
I  0.7568  0.9572  0.4434  3 Ba 3.43-3.55
I  0.6658  0.5363  0.9224  3 Ba 3.43-3.54
I  0.1778  0.1015  0.9458  1 Y 3.17, 2 Ba 3.47-3.48
I  0.4345  0.2920  0.6988  3 Ba 3.41-3.62
I  0.2920  0.9866  0.3873  1 Y 3.19, 2 Ba 3.43-3.57
I  0.3342  0.4637  0.0776  3 Ba 3.43-3.54
I  0.0134  0.7080  0.1127  1 Y 3.19, 2 Ba 3.43-3.57
I  0.4693  0.2406  0.9365  1 Y 3.20, 2 Ba 3.46-3.48
I  0.0388  0.7403  0.4389  3 Ba 3.43-3.47
Ba  0.0052  0.0266  0.6161  7 I 3.43-3.63
Ba  0.4541  0.9446  0.1351  6 I 3.46-3.60
Ba  0.5638  0.9202  0.3708  6 I 3.43-3.78
Ba  0.0554  0.5459  0.3649  6 I 3.46-3.60
Ba  0.9202  0.5638  0.8708  6 I 3.43-3.78
Ba  0.4362  0.0798  0.6292  6 I 3.43-3.78
Ba  0.5459  0.0554  0.8649  6 I 3.46-3.60
Ba  0.2242  0.3212  0.5234  6 I 3.43-3.55
Ba  0.3938  0.5422  0.6427  7 I 3.48-3.85
Ba  0.5422  0.3938  0.1427  7 I 3.48-3.85
Ba  0.2488  0.1819  0.2425  5 I 3.41-3.55
Ba  0.9734  0.9948  0.8839  7 I 3.43-3.63
Ba  0.7758  0.6788  0.4766  6 I 3.43-3.55
Ba  0.9948  0.9734  0.3839  7 I 3.43-3.63
Ba  0.0798  0.4362  0.1292  6 I 3.43-3.78
Ba  0.7512  0.8181  0.7575  5 I 3.41-3.55
Ba  0.4578  0.6062  0.8573  7 I 3.48-3.85
Ba  0.6062  0.4578  0.3573  7 I 3.48-3.85
Ba  0.3212  0.2242  0.0234  6 I 3.43-3.55
Ba  0.1819  0.2488  0.7425  5 I 3.41-3.55
Ba  0.6788  0.7758  0.9766  6 I 3.43-3.55
Ba  0.8181  0.7512  0.2575  5 I 3.41-3.55
Ba  0.0266  0.0052  0.1161  7 I 3.43-3.63
Ba  0.9446  0.4541  0.6351  6 I 3.46-3.60
Y  0.7071  0.7476  0.6131  7 I 2.99-3.24
Y  0.2929  0.2524  0.3869  7 I 2.99-3.24
Y  0.2524  0.2929  0.8869  7 I 2.99-3.24
Y  0.7476  0.7071  0.1131  7 I 2.99-3.24

Values from the calculation:
M_tot   0.00 μB/cell
Calculated formation energy   -1.939 eV per atom
Space group   C2/c
E above lowest polymorph   0.0 kJ/mol of formula units